1.
Compound: SnH2C4O3
Source: the Materials Project
Functional: PBE
Structure: relaxed

- DFT formation energy: -0.280 eV/atom
- Polymorph energy (0 for the lowest one): 0 meV/atom

Geometry as CIF:
```
data_SnH2C4O3
_chemical_formula_sum 'Sn4 H8 C16 O12'
_cell_length_a 5.143
_cell_length_b 8.601
_cell_length_c 13.228
_cell_angle_alpha 89.95
_cell_angle_beta 89.91
_cell_angle_gamma 87.32
_space_group_name_H-M_alt 'P -1'
_space_group_IT_number 2
_space_group_name_Hall '-P 1'
loop_
_atom_site_label
_atom_site_type_symbol
_atom_site_fract_x
_atom_site_fract_y
_atom_site_fract_z
Sn1 Sn 0.083 0.226 0.245
Sn2 Sn 0.417 0.274 0.745
H1 H 0.071 0.686 0.541
H2 H 0.113 0.433 0.413
H3 H 0.387 0.067 0.913
H4 H 0.429 0.814 0.041
C1 C 0.027 0.937 0.958
C2 C 0.058 0.148 0.736
C3 C 0.065 0.992 0.299
C4 C 0.205 0.850 0.275
C5 C 0.295 0.650 0.775
C6 C 0.435 0.508 0.799
C7 C 0.442 0.351 0.236
C8 C 0.473 0.563 0.458
O1 O 0.053 0.324 0.403
O2 O 0.168 0.122 0.084
O3 O 0.239 0.596 0.433
O4 O 0.261 0.904 0.932
O5 O 0.331 0.377 0.584
O6 O 0.447 0.176 0.903
```

***

2.
Compound: TlBi2Cl7
Source: the Materials Project
Functional: PBE
Structure: relaxed

- DFT formation energy: -1.429 eV/atom

Geometry as CIF:
```
data_TlBi2Cl7
_chemical_formula_sum 'Tl2 Bi4 Cl14'
_cell_length_a 7.184
_cell_length_b 8.860
_cell_length_c 11.002
_cell_angle_alpha 76.11
_cell_angle_beta 72.58
_cell_angle_gamma 73.27
_space_group_name_H-M_alt 'P -1'
_space_group_IT_number 2
_space_group_name_Hall '-P 1'
loop_
_atom_site_label
_atom_site_type_symbol
_atom_site_fract_x
_atom_site_fract_y
_atom_site_fract_z
Tl1 Tl 0.082 0.172 0.135
Bi1 Bi 0.309 0.634 0.157
Bi2 Bi 0.440 0.257 0.521
Cl1 Cl 0.074 0.256 0.799
Cl2 Cl 0.202 0.352 0.357
Cl3 Cl 0.265 0.487 0.983
Cl4 Cl 0.296 0.841 0.320
Cl5 Cl 0.301 0.953 0.616
Cl6 Cl 0.339 0.553 0.640
Cl7 Cl 0.344 0.875 0.975
```

***

3.
Compound: MgCrFeS4
Source: the Materials Project
Functional: PBE
Structure: relaxed

- DFT formation energy: -1.010 eV/atom

Geometry as CIF:
```
data_MgCrFeS4
_chemical_formula_sum 'Mg4 Cr4 Fe4 S16'
_cell_length_a 7.136
_cell_length_b 7.146
_cell_length_c 10.043
_cell_angle_alpha 90.00
_cell_angle_beta 90.00
_cell_angle_gamma 90.00
_space_group_name_H-M_alt 'I m m a'
_space_group_IT_number 74
_space_group_name_Hall '-I 2b 2'
loop_
_atom_site_label
_atom_site_type_symbol
_atom_site_fract_x
_atom_site_fract_y
_atom_site_fract_z
Mg1 Mg 0.000 0.250 0.127
Cr1 Cr 0.000 0.000 0.500
Fe1 Fe 0.250 0.250 0.750
S1 S 0.000 0.039 0.740
S2 S 0.227 0.250 0.518
```

***

4.
Compound: Ba2NdRuO6
Source: the Materials Project
Functional: PBE
Structure: relaxed

- DFT formation energy: -2.762 eV/atom
- Polymorph energy (0 for the lowest one): 0 meV/atom

Geometry as CIF:
```
data_Ba2NdRuO6
_chemical_formula_sum 'Ba4 Nd2 Ru2 O12'
_cell_length_a 10.499
_cell_length_b 6.057
_cell_length_c 6.103
_cell_angle_alpha 90.00
_cell_angle_beta 125.28
_cell_angle_gamma 90.00
_space_group_name_H-M_alt 'C 1 2/m 1'
_space_group_IT_number 12
_space_group_name_Hall '-C 2y'
loop_
_atom_site_label
_atom_site_type_symbol
_atom_site_fract_x
_atom_site_fract_y
_atom_site_fract_z
Ba1 Ba 0.249 0.000 0.246
Nd1 Nd 0.000 0.000 0.500
Ru1 Ru 0.000 0.500 0.000
O1 O 0.024 0.269 0.795
O2 O 0.230 0.500 0.275
```

***

5.
Compound: KHCO2
Source: the Materials Project
Functional: PBE
Structure: relaxed

- DFT formation energy: -1.569 eV/atom

Geometry as CIF:
```
data_KHCO2
_chemical_formula_sum 'K4 H4 C4 O8'
_cell_length_a 5.931
_cell_length_b 6.951
_cell_length_c 7.052
_cell_angle_alpha 90.00
_cell_angle_beta 90.00
_cell_angle_gamma 90.00
_space_group_name_H-M_alt 'C m c m'
_space_group_IT_number 63
_space_group_name_Hall '-C 2c 2'
loop_
_atom_site_label
_atom_site_type_symbol
_atom_site_fract_x
_atom_site_fract_y
_atom_site_fract_z
K1 K 0.000 0.000 0.000
H1 H 0.000 0.442 0.250
C1 C 0.000 0.398 0.750
O1 O 0.191 0.314 0.750
```

***

6.
Compound: Tl3Cl
Source: the Materials Project
Functional: PBE
Structure: relaxed

- DFT formation energy: -0.472 eV/atom
- Polymorph energy (0 for the lowest one): 0 meV/atom

Geometry as CIF:
```
data_Tl3Cl
_chemical_formula_sum 'Tl6 Cl2'
_cell_length_a 6.8618
_cell_length_b 6.8618
_cell_length_c 6.1637
_cell_angle_alpha 90.00
_cell_angle_beta 90.00
_cell_angle_gamma 120.00
_space_group_name_H-M_alt 'P 63/m m c'
_space_group_IT_number 194
_space_group_name_Hall '-P 6c 2c'
loop_
_atom_site_label
_atom_site_type_symbol
_atom_site_fract_x
_atom_site_fract_y
_atom_site_fract_z
Tl1 Tl 0.1682 0.3365 0.2500
Cl1 Cl 0.3333 0.6667 0.7500
```

***

Please write out number 3 again, unchanged.
Compound: MgCrFeS4
Source: the Materials Project
Functional: PBE
Structure: relaxed

- DFT formation energy: -1.010 eV/atom

Geometry as CIF:
```
data_MgCrFeS4
_chemical_formula_sum 'Mg4 Cr4 Fe4 S16'
_cell_length_a 7.136
_cell_length_b 7.146
_cell_length_c 10.043
_cell_angle_alpha 90.00
_cell_angle_beta 90.00
_cell_angle_gamma 90.00
_space_group_name_H-M_alt 'I m m a'
_space_group_IT_number 74
_space_group_name_Hall '-I 2b 2'
loop_
_atom_site_label
_atom_site_type_symbol
_atom_site_fract_x
_atom_site_fract_y
_atom_site_fract_z
Mg1 Mg 0.000 0.250 0.127
Cr1 Cr 0.000 0.000 0.500
Fe1 Fe 0.250 0.250 0.750
S1 S 0.000 0.039 0.740
S2 S 0.227 0.250 0.518
```